Entry from the Materials Project database: a geometry-optimized Li5GaGe2O8 structure (PBE). Values from VASP.

Formation energy from the elements (meV per atom): -2322.9
E (eV/atom): -5.82
Total magnetic moment (μB/f.u.): 0.0
Space-group type: P2_1

The structure in Quantum ESPRESSO input format:
```
&SYSTEM
  ibrav = 0, nat = 32, ntyp = 4
/
ATOMIC_SPECIES
Ge 72.64 Ge.upf
Li 6.94 Li.upf
O 16.00 O.upf
Ga 69.72 Ga.upf
CELL_PARAMETERS angstrom
10.872 0.000 0.000
0.000 5.126 0.000
0.000 0.022 6.466
ATOMIC_POSITIONS crystal
Ge 0.590 0.920 0.514
Ge 0.090 0.080 0.486
Li 0.831 0.928 0.755
Li 0.160 0.563 0.748
Li 0.084 0.947 0.005
Li 0.660 0.437 0.252
O 0.671 0.037 0.280
Li 0.665 0.433 0.746
O 0.431 0.039 0.506
O 0.086 0.419 0.503
Li 0.584 0.053 0.995
O 0.906 0.084 0.019
O 0.836 0.560 0.224
O 0.568 0.458 0.000
Ge 0.416 0.558 0.007
O 0.336 0.440 0.776
Ga 0.835 0.928 0.252
Ga 0.335 0.072 0.748
O 0.171 0.963 0.720
O 0.068 0.542 0.000
O 0.165 0.955 0.271
O 0.336 0.460 0.227
Li 0.920 0.533 0.513
O 0.931 0.961 0.494
O 0.586 0.581 0.497
Li 0.165 0.567 0.254
O 0.406 0.916 0.981
Li 0.331 0.072 0.245
Li 0.420 0.467 0.487
O 0.836 0.540 0.773
O 0.665 0.045 0.729
Ge 0.916 0.442 0.993
```

Entry from the Materials Project database: a geometry-optimized Ca6Si6O19 structure (PBE). Values from VASP.

Formation energy from the elements (meV per atom): -3256.5
Relative energy among the computed polymorphs (eV/atom): 0.000
E (eV/atom): -7.31
Total magnetic moment (μB/f.u.): 2.0
Space-group type: C2/c

The structure in Quantum ESPRESSO input format:
```
&SYSTEM
  ibrav = 0, nat = 62, ntyp = 3
/
ATOMIC_SPECIES
Si 28.09 Si.upf
O 16.00 O.upf
Ca 40.08 Ca.upf
CELL_PARAMETERS angstrom
3.710 7.038 0.000
-3.710 7.038 0.000
0.000 0.158 17.373
ATOMIC_POSITIONS crystal
Si 0.205 0.027 0.395
O 0.941 0.672 0.172
O 0.624 0.376 0.750
O 0.545 0.430 0.115
Ca 0.290 0.051 0.068
O 0.729 0.979 0.351
O 0.376 0.624 0.250
Ca 0.200 0.462 0.933
Ca 0.462 0.200 0.433
O 0.328 0.059 0.328
Si 0.795 0.973 0.605
Si 0.780 0.451 0.395
Si 0.027 0.205 0.895
Ca 0.875 0.628 0.748
O 0.570 0.455 0.385
O 0.788 0.540 0.479
O 0.185 0.788 0.115
O 0.672 0.941 0.672
O 0.517 0.766 0.147
O 0.574 0.812 0.828
O 0.707 0.964 0.522
O 0.540 0.788 0.979
O 0.795 0.041 0.108
O 0.293 0.036 0.478
Si 0.651 0.405 0.659
O 0.959 0.205 0.392
O 0.455 0.570 0.885
Ca 0.372 0.125 0.752
Si 0.549 0.220 0.105
O 0.271 0.021 0.649
O 0.212 0.460 0.521
Ca 0.538 0.800 0.567
O 0.460 0.212 0.021
O 0.812 0.574 0.328
Si 0.349 0.595 0.341
O 0.979 0.729 0.851
Si 0.451 0.780 0.895
O 0.964 0.707 0.022
O 0.430 0.545 0.615
Ca 0.628 0.875 0.248
Si 0.405 0.651 0.159
O 0.036 0.293 0.978
O 0.234 0.483 0.353
Si 0.220 0.549 0.605
Ca 0.800 0.538 0.067
O 0.021 0.271 0.149
Ca 0.125 0.372 0.252
O 0.426 0.188 0.172
O 0.205 0.959 0.892
O 0.041 0.795 0.608
O 0.483 0.234 0.853
O 0.766 0.517 0.647
O 0.188 0.426 0.672
O 0.059 0.328 0.828
Si 0.595 0.349 0.841
O 0.212 0.815 0.385
Si 0.973 0.795 0.105
Ca 0.710 0.949 0.932
O 0.815 0.212 0.885
Ca 0.949 0.710 0.432
O 0.788 0.185 0.615
Ca 0.051 0.290 0.568
```